(1)
Density functional theory data (PBE-GGA) for a relaxed structure of Dy2SiPd2.

Lattice parameters (Å, degrees): 7.518 13.930 4.150 90.00 90.00 90.00
Fractional coordinates of all 20 atoms:
Dy 0.035 0.126 0.000
Dy 0.048 0.631 0.000
Dy 0.452 0.131 0.500
Dy 0.465 0.626 0.500
Dy 0.535 0.374 0.500
Dy 0.548 0.869 0.500
Dy 0.952 0.369 0.000
Dy 0.965 0.874 0.000
Si 0.154 0.471 0.500
Si 0.346 0.971 0.000
Si 0.654 0.029 0.000
Si 0.846 0.529 0.500
Pd 0.171 0.281 0.500
Pd 0.180 0.986 0.500
Pd 0.320 0.486 0.000
Pd 0.329 0.781 0.000
Pd 0.671 0.219 0.000
Pd 0.680 0.514 0.000
Pd 0.820 0.014 0.500
Pd 0.829 0.719 0.500

Results
Space-group type ... Pnnm (58)


(2)
Density functional theory data (PBE-GGA) for a relaxed structure of Nd6S4BrN3.

Lattice parameters (Å, degrees): 11.538 4.029 27.393 90.00 90.00 90.00
Fractional coordinates of all 56 atoms:
Nd 0.058 0.250 0.078
Nd 0.062 0.250 0.808
Nd 0.099 0.250 0.535
Nd 0.124 0.250 0.283
Nd 0.243 0.750 0.171
Nd 0.248 0.750 0.436
Nd 0.252 0.250 0.936
Nd 0.257 0.250 0.671
Nd 0.376 0.750 0.783
Nd 0.401 0.750 0.035
Nd 0.438 0.750 0.308
Nd 0.442 0.750 0.578
Nd 0.558 0.250 0.422
Nd 0.562 0.250 0.692
Nd 0.599 0.250 0.965
Nd 0.624 0.250 0.217
Nd 0.743 0.750 0.329
Nd 0.748 0.750 0.064
Nd 0.752 0.250 0.564
Nd 0.757 0.250 0.829
Nd 0.876 0.750 0.717
Nd 0.901 0.750 0.465
Nd 0.938 0.750 0.192
Nd 0.942 0.750 0.922
S 0.137 0.750 0.736
S 0.143 0.750 0.994
S 0.192 0.750 0.862
S 0.207 0.750 0.602
S 0.293 0.250 0.102
S 0.308 0.250 0.362
S 0.357 0.250 0.494
S 0.363 0.250 0.236
S 0.637 0.750 0.764
S 0.643 0.750 0.506
S 0.692 0.750 0.638
S 0.707 0.750 0.898
S 0.793 0.250 0.398
S 0.808 0.250 0.138
S 0.857 0.250 0.006
S 0.863 0.250 0.264
Br 0.038 0.750 0.362
Br 0.462 0.250 0.862
Br 0.538 0.750 0.138
Br 0.962 0.250 0.638
N 0.061 0.750 0.125
N 0.098 0.750 0.486
N 0.112 0.750 0.237
N 0.388 0.250 0.737
N 0.402 0.250 0.986
N 0.439 0.250 0.625
N 0.561 0.750 0.375
N 0.598 0.750 0.014
N 0.612 0.750 0.263
N 0.888 0.250 0.763
N 0.902 0.250 0.514
N 0.939 0.250 0.875

Results
Corrected total energy (MP2020 scheme) ... -402.0 eV for the cell shown
Space-group type ... Pnma (62)


(3)
Density functional theory data (PBE-GGA) for a relaxed structure of DyMgGa.

Lattice parameters (Å, degrees): 7.307 7.307 4.416 90.00 90.00 120.00
Fractional coordinates of all 9 atoms:
Dy 0.000 0.579 0.000
Dy 0.421 0.421 0.000
Dy 0.579 0.000 0.000
Mg 0.000 0.245 0.500
Mg 0.245 0.000 0.500
Mg 0.755 0.755 0.500
Ga 0.000 0.000 0.000
Ga 0.333 0.667 0.500
Ga 0.667 0.333 0.500

Results
Space-group type ... P-62m (189)


(4)
Density functional theory data (PBE-GGA) for a relaxed structure of NaB24S6Br24O12.

Lattice parameters (Å, degrees): 13.264 13.264 19.714 90.00 90.00 120.00
Fractional coordinates of all 134 atoms:
Na 0.333 0.667 0.250
Na 0.667 0.333 0.750
B 0.001 0.080 0.931
B 0.001 0.921 0.569
B 0.006 0.130 0.017
B 0.006 0.876 0.483
B 0.079 0.080 0.569
B 0.079 0.999 0.931
B 0.080 0.001 0.431
B 0.080 0.079 0.069
B 0.124 0.130 0.483
B 0.124 0.994 0.017
B 0.130 0.006 0.517
B 0.130 0.124 0.983
B 0.206 0.539 0.734
B 0.206 0.666 0.766
B 0.255 0.588 0.819
B 0.255 0.667 0.681
B 0.333 0.588 0.681
B 0.333 0.745 0.819
B 0.334 0.539 0.766
B 0.334 0.794 0.734
B 0.412 0.667 0.819
B 0.412 0.745 0.681
B 0.461 0.666 0.734
B 0.461 0.794 0.766
B 0.539 0.206 0.234
B 0.539 0.334 0.266
B 0.588 0.255 0.319
B 0.588 0.333 0.181
B 0.666 0.206 0.266
B 0.666 0.461 0.234
B 0.667 0.255 0.181
B 0.667 0.412 0.319
B 0.745 0.333 0.319
B 0.745 0.412 0.181
B 0.794 0.334 0.234
B 0.794 0.461 0.266
B 0.870 0.876 0.017
B 0.870 0.994 0.483
B 0.876 0.006 0.983
B 0.876 0.870 0.517
B 0.920 0.921 0.931
B 0.920 0.999 0.569
B 0.921 0.001 0.069
B 0.921 0.920 0.431
B 0.994 0.124 0.517
B 0.994 0.870 0.983
B 0.999 0.079 0.431
B 0.999 0.920 0.069
S 0.148 0.485 0.392
S 0.148 0.663 0.108
S 0.337 0.485 0.108
S 0.337 0.852 0.392
S 0.485 0.148 0.892
S 0.485 0.337 0.608
S 0.515 0.663 0.392
S 0.515 0.852 0.108
S 0.663 0.148 0.608
S 0.663 0.515 0.892
S 0.852 0.337 0.892
S 0.852 0.515 0.608
Br 0.003 0.167 0.851
Br 0.003 0.836 0.649
Br 0.012 0.277 0.037
Br 0.012 0.735 0.463
Br 0.061 0.396 0.716
Br 0.061 0.665 0.784
Br 0.164 0.167 0.649
Br 0.164 0.997 0.851
Br 0.167 0.003 0.351
Br 0.167 0.164 0.149
Br 0.168 0.501 0.899
Br 0.168 0.666 0.601
Br 0.265 0.277 0.463
Br 0.265 0.988 0.037
Br 0.277 0.012 0.537
Br 0.277 0.265 0.963
Br 0.334 0.501 0.601
Br 0.334 0.832 0.899
Br 0.335 0.396 0.784
Br 0.335 0.939 0.716
Br 0.396 0.061 0.216
Br 0.396 0.335 0.284
Br 0.499 0.666 0.899
Br 0.499 0.832 0.601
Br 0.501 0.168 0.399
Br 0.501 0.334 0.101
Br 0.604 0.665 0.716
Br 0.604 0.939 0.784
Br 0.665 0.061 0.284
Br 0.665 0.604 0.216
Br 0.666 0.168 0.101
Br 0.666 0.499 0.399
Br 0.723 0.735 0.037
Br 0.723 0.988 0.463
Br 0.735 0.012 0.963
Br 0.735 0.723 0.537
Br 0.832 0.334 0.399
Br 0.832 0.499 0.101
Br 0.833 0.836 0.851
Br 0.833 0.997 0.649
Br 0.836 0.003 0.149
Br 0.836 0.833 0.351
Br 0.939 0.335 0.216
Br 0.939 0.604 0.284
Br 0.988 0.265 0.537
Br 0.988 0.723 0.963
Br 0.997 0.164 0.351
Br 0.997 0.833 0.149
O 0.158 0.574 0.070
O 0.158 0.583 0.430
O 0.199 0.509 0.324
O 0.199 0.690 0.176
O 0.310 0.509 0.176
O 0.310 0.801 0.324
O 0.417 0.574 0.430
O 0.417 0.842 0.070
O 0.426 0.583 0.070
O 0.426 0.842 0.430
O 0.491 0.690 0.324
O 0.491 0.801 0.176
O 0.509 0.199 0.824
O 0.509 0.310 0.676
O 0.574 0.158 0.570
O 0.574 0.417 0.930
O 0.583 0.158 0.930
O 0.583 0.426 0.570
O 0.690 0.199 0.676
O 0.690 0.491 0.824
O 0.801 0.310 0.824
O 0.801 0.491 0.676
O 0.842 0.417 0.570
O 0.842 0.426 0.930

Results
Corrected total energy (MP2020 scheme) ... -669.7 eV for the cell shown
Space-group type ... P-31c (163)


(5)
Density functional theory data (PBE-GGA) for a relaxed structure of Er2AlNi2.

Lattice parameters (Å, degrees): 5.325 5.325 5.325 134.42 119.67 78.77
Fractional coordinates of all 5 atoms:
Er 0.203 0.203 0.000
Er 0.797 0.797 0.000
Al 0.500 0.000 0.500
Ni 0.230 0.500 0.730
Ni 0.770 0.500 0.270

Results
Space-group type ... Immm (71)


(6)
Density functional theory data (PBE-GGA) for a relaxed structure of CaAg4Ru4O12.

Lattice parameters (Å, degrees): 7.374 7.374 7.374 121.40 119.80 88.97
Fractional coordinates of all 21 atoms:
Ca 0.000 0.000 0.000
Ag 0.165 0.843 0.322
Ag 0.251 0.055 0.804
Ag 0.251 0.447 0.196
Ag 0.521 0.843 0.678
Ru 0.243 0.498 0.745
Ru 0.731 0.472 0.742
Ru 0.731 0.989 0.258
Ru 0.753 0.498 0.255
O 0.061 0.164 0.481
O 0.061 0.561 0.500
O 0.061 0.580 0.897
O 0.416 0.418 0.601
O 0.416 0.815 0.999
O 0.431 0.431 0.000
O 0.683 0.164 0.103
O 0.683 0.580 0.519
O 0.691 0.191 0.500
O 0.795 0.795 0.000
O 0.817 0.418 0.001
O 0.817 0.815 0.399

Results
Corrected total energy (MP2020 scheme) ... -133.1 eV for the cell shown
Space-group type ... Imm2 (44)


(7)
Density functional theory data (PBE-GGA) for a relaxed structure of K2BaNa2Ti4Si8O32.

Lattice parameters (Å, degrees): 10.085 10.085 7.866 109.45 109.45 88.59
Fractional coordinates of all 49 atoms:
K 0.000 0.000 0.000
K 0.162 0.162 0.610
Ba 0.668 0.668 0.680
Na 0.391 0.892 0.280
Na 0.892 0.391 0.280
Ti 0.103 0.588 0.814
Ti 0.349 0.805 0.810
Ti 0.588 0.103 0.814
Ti 0.805 0.349 0.810
Si 0.015 0.793 0.562
Si 0.142 0.363 0.052
Si 0.263 0.480 0.503
Si 0.363 0.142 0.052
Si 0.480 0.263 0.503
Si 0.692 0.915 0.121
Si 0.793 0.015 0.562
Si 0.915 0.692 0.121
O 0.055 0.692 0.060
O 0.124 0.489 0.566
O 0.156 0.893 0.295
O 0.165 0.436 0.907
O 0.184 0.830 0.621
O 0.207 0.207 0.009
O 0.219 0.459 0.276
O 0.269 0.698 0.910
O 0.332 0.974 0.012
O 0.337 0.337 0.535
O 0.378 0.620 0.626
O 0.436 0.165 0.907
O 0.440 0.738 0.453
O 0.459 0.219 0.276
O 0.464 0.900 0.703
O 0.489 0.124 0.566
O 0.553 0.806 0.967
O 0.620 0.378 0.626
O 0.687 0.944 0.336
O 0.692 0.055 0.060
O 0.698 0.269 0.910
O 0.723 0.979 0.703
O 0.738 0.440 0.453
O 0.806 0.553 0.967
O 0.830 0.184 0.621
O 0.831 0.831 0.093
O 0.893 0.156 0.295
O 0.900 0.464 0.703
O 0.944 0.687 0.336
O 0.945 0.945 0.584
O 0.974 0.332 0.012
O 0.979 0.723 0.703

Results
Corrected total energy (MP2020 scheme) ... -372.6 eV for the cell shown
Space-group type ... Cm (8)


(8)
Density functional theory data (PBE-GGA) for a relaxed structure of KNaTiSi3H2O10.

Lattice parameters (Å, degrees): 6.466 11.481 12.899 90.00 104.68 90.00
Fractional coordinates of all 72 atoms:
K 0.184 0.118 0.390
K 0.184 0.382 0.890
K 0.816 0.618 0.110
K 0.816 0.882 0.610
Na 0.287 0.040 0.097
Na 0.287 0.460 0.597
Na 0.713 0.540 0.403
Na 0.713 0.960 0.903
Ti 0.385 0.728 0.784
Ti 0.385 0.772 0.284
Ti 0.615 0.228 0.716
Ti 0.615 0.272 0.216
Si 0.082 0.199 0.652
Si 0.082 0.301 0.152
Si 0.300 0.737 0.023
Si 0.300 0.763 0.523
Si 0.347 0.518 0.159
Si 0.347 0.982 0.659
Si 0.653 0.018 0.341
Si 0.653 0.482 0.841
Si 0.700 0.237 0.477
Si 0.700 0.263 0.977
Si 0.918 0.699 0.848
Si 0.918 0.801 0.348
H 0.054 0.088 0.851
H 0.054 0.412 0.351
H 0.172 0.531 0.351
H 0.172 0.969 0.851
H 0.828 0.031 0.149
H 0.828 0.469 0.649
H 0.946 0.588 0.649
H 0.946 0.912 0.149
O 0.040 0.749 0.468
O 0.040 0.751 0.968
O 0.074 0.703 0.767
O 0.074 0.797 0.267
O 0.099 0.017 0.894
O 0.099 0.483 0.394
O 0.130 0.062 0.626
O 0.130 0.438 0.126
O 0.304 0.231 0.199
O 0.304 0.269 0.699
O 0.324 0.604 0.255
O 0.324 0.896 0.755
O 0.350 0.596 0.052
O 0.350 0.904 0.552
O 0.357 0.688 0.632
O 0.357 0.812 0.132
O 0.435 0.731 0.437
O 0.435 0.769 0.937
O 0.441 0.562 0.812
O 0.441 0.938 0.312
O 0.559 0.062 0.688
O 0.559 0.438 0.188
O 0.565 0.231 0.063
O 0.565 0.269 0.563
O 0.643 0.188 0.868
O 0.643 0.312 0.368
O 0.650 0.096 0.448
O 0.650 0.404 0.948
O 0.676 0.104 0.245
O 0.676 0.396 0.745
O 0.696 0.731 0.301
O 0.696 0.769 0.801
O 0.870 0.562 0.874
O 0.870 0.938 0.374
O 0.901 0.517 0.606
O 0.901 0.983 0.106
O 0.926 0.203 0.733
O 0.926 0.297 0.233
O 0.960 0.249 0.032
O 0.960 0.251 0.532

Results
Corrected total energy (MP2020 scheme) ... -533.7 eV for the cell shown
Space-group type ... P2_1/c (14)


(9)
Density functional theory data (PBE-GGA) for a relaxed structure of Dy2S2F.

Lattice parameters (Å, degrees): 3.211 3.211 13.332 90.00 90.00 90.00
Fractional coordinates of all 5 atoms:
Dy 0.000 0.000 0.168
Dy 0.000 0.000 0.832
S 0.000 0.000 0.357
S 0.000 0.000 0.643
F 0.000 0.000 0.000

Results
Corrected total energy (MP2020 scheme) ... -24.0 eV for the cell shown
Space-group type ... P4/mmm (123)


(10)
Density functional theory data (PBE-GGA) for a relaxed structure of LiScPt2.

Lattice parameters (Å, degrees): 4.477 4.477 4.477 60.00 60.00 60.00
Fractional coordinates of all 4 atoms:
Li 0.000 0.000 0.000
Sc 0.500 0.500 0.500
Pt 0.250 0.250 0.250
Pt 0.750 0.750 0.750

Results
Space-group type ... Fm-3m (225)


no.,VASP energy (eV/atom)
1,-5.793
2,-6.957
3,-3.570
4,-4.874
5,-5.461
6,-5.948
7,-7.155
8,-7.032
9,-4.506
10,-6.058